Entry 1:
# VSO8, optimized geometry, DFT PBE+U
data_VSO8
_chemical_formula_sum 'V4 S4 O32'
_space_group_name_H-M_alt 'P 1'
_space_group_IT_number 1
_space_group_name_Hall 'P 1'
_cell_length_a 14.0136
_cell_length_b 5.8795
_cell_length_c 9.8284
_cell_angle_alpha 54.68
_cell_angle_beta 90.00
_cell_angle_gamma 90.00
loop_
_atom_site_label
_atom_site_type_symbol
_atom_site_fract_x
_atom_site_fract_y
_atom_site_fract_z
V1 V 0.8890 0.3469 0.2705
O1 O 0.8717 0.2865 0.1062
O2 O 0.0721 0.3080 0.8469
O3 O 0.9279 0.6920 0.1531
O4 O 0.6277 0.9390 0.8657
O5 O 0.2287 0.5874 0.7348
O6 O 0.4638 0.2293 0.7561
S1 S 0.6002 0.0145 0.1775
O7 O 0.3717 0.7135 0.3938
O8 O 0.2713 0.5874 0.2348
O9 O 0.8723 0.9390 0.3657
O10 O 0.9252 0.2340 0.4986
O11 O 0.9070 0.1324 0.7753
O12 O 0.5362 0.7707 0.2439
S2 S 0.3998 0.9855 0.8225
O13 O 0.4070 0.8676 0.7247
O14 O 0.4252 0.7660 0.0014
O15 O 0.1277 0.0610 0.6343
O16 O 0.9638 0.7707 0.7439
O17 O 0.7713 0.4126 0.2652
O18 O 0.0748 0.7660 0.5014
O19 O 0.7991 0.9282 0.6956
V2 V 0.1110 0.6531 0.7295
O20 O 0.2991 0.0718 0.8044
O21 O 0.0930 0.8676 0.2247
O22 O 0.1283 0.7135 0.8938
O23 O 0.5721 0.6920 0.6531
S3 S 0.8998 0.0145 0.6775
O24 O 0.0362 0.2293 0.2561
S4 S 0.1002 0.9855 0.3225
O25 O 0.3723 0.0610 0.1343
O26 O 0.5930 0.1324 0.2753
O27 O 0.6283 0.2865 0.6062
V3 V 0.3890 0.6531 0.2295
O28 O 0.7287 0.4126 0.7652
O29 O 0.7009 0.9282 0.1956
O30 O 0.2009 0.0718 0.3044
V4 V 0.6110 0.3469 0.7705
O31 O 0.4279 0.3080 0.3469
O32 O 0.5748 0.2340 0.9986
# * uncorrected energy: -0.2058 Ha/atom
# * E above lowest polymorph: 31 meV/atom

---

Entry 2:
# V2S3O12, optimized geometry, DFT PBE+U
data_V2S3O12
_chemical_formula_sum 'V8 S12 O48'
_space_group_name_H-M_alt 'P 1'
_space_group_IT_number 1
_space_group_name_Hall 'P 1'
_cell_length_a 8.6848
_cell_length_b 8.5033
_cell_length_c 14.6075
_cell_angle_alpha 54.96
_cell_angle_beta 90.00
_cell_angle_gamma 90.00
loop_
_atom_site_label
_atom_site_type_symbol
_atom_site_fract_x
_atom_site_fract_y
_atom_site_fract_z
V1 V 0.9622 0.1354 0.1163
O1 O 0.6905 0.5252 0.9029
O2 O 0.8811 0.8158 0.6209
O3 O 0.4741 0.5713 0.7226
O4 O 0.4183 0.8280 0.5320
O5 O 0.9741 0.4287 0.7774
V2 V 0.0326 0.6317 0.6172
O6 O 0.4961 0.9092 0.2317
O7 O 0.6730 0.7307 0.4387
O8 O 0.1905 0.4748 0.5971
O9 O 0.2655 0.0180 0.3176
S1 S 0.2521 0.4585 0.5075
S2 S 0.3887 0.0358 0.8552
O10 O 0.0259 0.5713 0.2226
O11 O 0.3270 0.2693 0.5613
O12 O 0.5259 0.4287 0.2774
O13 O 0.1189 0.1842 0.3791
O14 O 0.3668 0.6123 0.4378
O15 O 0.5817 0.1720 0.4680
S3 S 0.8821 0.2498 0.8511
O16 O 0.0817 0.8280 0.0320
O17 O 0.2846 0.7115 0.1716
O18 O 0.9222 0.1086 0.8262
S4 S 0.3821 0.7502 0.6489
O19 O 0.2154 0.7115 0.6716
O20 O 0.5039 0.0908 0.7683
O21 O 0.9329 0.1534 0.5433
S5 S 0.6113 0.9642 0.1448
O22 O 0.7655 0.9820 0.1824
O23 O 0.8703 0.5194 0.5688
O24 O 0.7345 0.9820 0.6824
S6 S 0.6179 0.2498 0.3511
O25 O 0.9961 0.0908 0.2683
O26 O 0.1297 0.4806 0.4312
S7 S 0.8887 0.9642 0.6448
O27 O 0.7846 0.2885 0.3284
O28 O 0.1332 0.6123 0.9378
S8 S 0.7479 0.5415 0.4925
O29 O 0.7154 0.2885 0.8284
O30 O 0.8668 0.3877 0.0622
V3 V 0.0378 0.8646 0.8837
V4 V 0.4674 0.6317 0.1172
V5 V 0.4622 0.8646 0.3837
V6 V 0.5326 0.3683 0.8828
O31 O 0.8270 0.7307 0.9387
O32 O 0.8095 0.5252 0.4029
O33 O 0.0039 0.9092 0.7317
S9 S 0.2479 0.4585 0.0075
O34 O 0.4222 0.8914 0.6738
O35 O 0.2345 0.0180 0.8176
O36 O 0.6189 0.8158 0.1209
O37 O 0.9183 0.1720 0.9680
O38 O 0.5778 0.1086 0.3262
O39 O 0.3703 0.4806 0.9312
S10 S 0.7521 0.5415 0.9925
V7 V 0.5378 0.1354 0.6163
O40 O 0.0671 0.8466 0.4567
O41 O 0.1730 0.2693 0.0613
O42 O 0.4329 0.8466 0.9567
O43 O 0.5671 0.1534 0.0433
S11 S 0.1113 0.0358 0.3552
O44 O 0.0778 0.8914 0.1738
V8 V 0.9674 0.3683 0.3828
O45 O 0.3811 0.1842 0.8791
O46 O 0.6332 0.3877 0.5622
O47 O 0.6297 0.5194 0.0688
S12 S 0.1179 0.7502 0.1489
O48 O 0.3095 0.4748 0.0971
# * uncorrected energy: -0.2460 Ha/atom
# * E above lowest polymorph: 0 meV/atom

---

Entry 3:
# VSO8, optimized geometry, DFT PBE+U
data_VSO8
_chemical_formula_sum 'V4 S4 O32'
_space_group_name_H-M_alt 'P 1'
_space_group_IT_number 1
_space_group_name_Hall 'P 1'
_cell_length_a 9.7243
_cell_length_b 7.4226
_cell_length_c 11.9035
_cell_angle_alpha 65.30
_cell_angle_beta 90.00
_cell_angle_gamma 90.00
loop_
_atom_site_label
_atom_site_type_symbol
_atom_site_fract_x
_atom_site_fract_y
_atom_site_fract_z
O1 O 0.8101 0.5381 0.0377
O2 O 0.4925 0.2150 0.5405
V1 V 0.3828 0.7158 0.3610
O3 O 0.5218 0.2834 0.0273
S1 S 0.1490 0.2497 0.9763
O4 O 0.4782 0.7166 0.9727
O5 O 0.5075 0.7850 0.4595
O6 O 0.2517 0.1099 0.5568
O7 O 0.1899 0.4619 0.9623
O8 O 0.9576 0.2948 0.2591
O9 O 0.1319 0.2482 0.8564
O10 O 0.3101 0.4619 0.4623
O11 O 0.4576 0.7052 0.2409
O12 O 0.7483 0.8901 0.4432
O13 O 0.6319 0.7518 0.6436
O14 O 0.8681 0.7518 0.1436
S2 S 0.3510 0.2497 0.4763
O15 O 0.5424 0.2948 0.7591
O16 O 0.9882 0.6860 0.3844
O17 O 0.2547 0.8769 0.3087
V2 V 0.8828 0.2842 0.1390
S3 S 0.6490 0.7503 0.5237
O18 O 0.0424 0.7052 0.7409
O19 O 0.0218 0.7166 0.4727
O20 O 0.7547 0.1231 0.1913
O21 O 0.6899 0.5381 0.5377
O22 O 0.9925 0.7850 0.9595
O23 O 0.7453 0.1231 0.6913
O24 O 0.7517 0.8901 0.9432
O25 O 0.0118 0.3140 0.6156
O26 O 0.2453 0.8769 0.8087
S4 S 0.8510 0.7503 0.0237
O27 O 0.2483 0.1099 0.0568
V3 V 0.1172 0.7158 0.8610
O28 O 0.9782 0.2834 0.5273
O29 O 0.5118 0.6860 0.8844
O30 O 0.4882 0.3140 0.1156
V4 V 0.6172 0.2842 0.6390
O31 O 0.0075 0.2150 0.0405
O32 O 0.3681 0.2482 0.3564
# * uncorrected energy: -0.2224 Ha/atom
# * E above lowest polymorph: 0 meV/atom

---

Entry 4:
# V2S3O14, optimized geometry, DFT PBE+U
data_V2S3O14
_chemical_formula_sum 'V8 S12 O56'
_space_group_name_H-M_alt 'P 1'
_space_group_IT_number 1
_space_group_name_Hall 'P 1'
_cell_length_a 9.0228
_cell_length_b 9.0228
_cell_length_c 15.4932
_cell_angle_alpha 90.00
_cell_angle_beta 90.00
_cell_angle_gamma 90.00
loop_
_atom_site_label
_atom_site_type_symbol
_atom_site_fract_x
_atom_site_fract_y
_atom_site_fract_z
O1 O 0.4069 0.4069 0.8069
O2 O 0.4069 0.4069 0.1931
S1 S 0.5000 0.5000 0.7506
O3 O 0.4749 0.2790 0.0000
O4 O 0.0903 0.5951 0.3083
O5 O 0.5931 0.5931 0.8069
V1 V 0.7541 0.7541 0.2027
O6 O 0.2546 0.7454 0.4216
O7 O 0.0951 0.4097 0.8083
O8 O 0.9078 0.9078 0.1904
O9 O 0.2546 0.7454 0.5784
O10 O 0.7546 0.7546 0.0784
O11 O 0.0903 0.5951 0.6917
S2 S 0.0000 0.0000 0.7494
S3 S 0.3216 0.3216 0.0000
O12 O 0.4078 0.5922 0.6904
O13 O 0.0931 0.9069 0.6931
O14 O 0.9069 0.0931 0.6931
S4 S 0.5000 0.0000 0.2500
O15 O 0.5922 0.4078 0.3096
O16 O 0.5251 0.7210 0.0000
S5 S 0.0000 0.5000 0.2500
S6 S 0.5000 0.0000 0.7500
O17 O 0.4097 0.0951 0.8083
O18 O 0.7210 0.5251 0.0000
O19 O 0.0951 0.4097 0.1917
O20 O 0.4078 0.5922 0.3096
O21 O 0.7454 0.2546 0.5784
O22 O 0.0251 0.7790 0.5000
V2 V 0.7459 0.2541 0.2973
V3 V 0.7459 0.2541 0.7027
V4 V 0.2541 0.7459 0.2973
O23 O 0.7790 0.0251 0.5000
O24 O 0.5922 0.4078 0.6904
O25 O 0.2513 0.7487 0.8072
O26 O 0.2487 0.2487 0.3072
O27 O 0.9049 0.5903 0.1917
O28 O 0.4049 0.9097 0.6917
O29 O 0.9069 0.0931 0.3069
O30 O 0.7454 0.2546 0.4216
O31 O 0.4097 0.0951 0.1917
S7 S 0.1784 0.8216 0.5000
S8 S 0.5000 0.5000 0.2494
O32 O 0.5951 0.0903 0.3083
O33 O 0.4049 0.9097 0.3083
O34 O 0.9049 0.5903 0.8083
O35 O 0.5951 0.0903 0.6917
S9 S 0.8216 0.1784 0.5000
O36 O 0.9097 0.4049 0.6917
S10 S 0.6784 0.6784 0.0000
O37 O 0.9078 0.9078 0.8096
O38 O 0.9097 0.4049 0.3083
O39 O 0.5931 0.5931 0.1931
O40 O 0.5903 0.9049 0.8083
O41 O 0.2487 0.2487 0.6928
O42 O 0.2790 0.4749 0.0000
O43 O 0.7487 0.2513 0.1928
O44 O 0.7546 0.7546 0.9216
O45 O 0.2454 0.2454 0.0784
O46 O 0.5903 0.9049 0.1917
O47 O 0.2513 0.7487 0.1928
O48 O 0.2210 0.9749 0.5000
V5 V 0.2459 0.2459 0.7973
V6 V 0.2541 0.7459 0.7027
V7 V 0.2459 0.2459 0.2027
S11 S 0.0000 0.0000 0.2506
O49 O 0.0931 0.9069 0.3069
O50 O 0.7487 0.2513 0.8072
S12 S 0.0000 0.5000 0.7500
O51 O 0.0922 0.0922 0.8096
V8 V 0.7541 0.7541 0.7973
O52 O 0.0922 0.0922 0.1904
O53 O 0.7513 0.7513 0.6928
O54 O 0.7513 0.7513 0.3072
O55 O 0.9749 0.2210 0.5000
O56 O 0.2454 0.2454 0.9216
# * uncorrected energy: -0.2364 Ha/atom

---

| no. | ΔH_f (0 K) (meV per atom) | M_tot (μB/f.u.) | MP2020-corrected energy (eV per cell) |
| --- | --- | --- | --- |
| 1 | -1039 | 5.0 | -252.79 |
| 2 | -2088 | 4.0 | -501.80 |
| 3 | -1070 | 1.0 | -254.03 |
| 4 | -1862 | 0.0 | -540.88 |